(1)
VASP calculation (PBE) on a geometry-optimized CuAg64Hg3As16S60 structure.

Results
Magnetic moment   0.0 μB/f.u.
SG   P1, No. 1

The structure in POSCAR format:
```
CuAg64Hg3As16S60
1.0
6.259 3.583 13.414
15.153 0.515 1.399
-0.281 15.414 -4.221
Cu Ag Hg As S
1 64 3 16 60
Direct
0.019 0.231 0.498
0.658 0.489 0.502
0.512 0.343 0.498
0.924 0.414 0.910
0.583 0.078 0.089
0.956 0.606 0.916
0.394 0.044 0.084
0.486 0.746 0.305
0.253 0.514 0.695
0.110 0.380 0.504
0.613 0.885 0.500
0.561 0.709 0.696
0.291 0.438 0.305
0.754 0.717 0.697
0.282 0.247 0.303
0.614 0.538 0.086
0.462 0.387 0.915
0.109 0.043 0.088
0.959 0.890 0.913
0.431 0.924 0.916
0.076 0.569 0.084
0.257 0.004 0.714
0.000 0.741 0.284
0.791 0.244 0.304
0.759 0.211 0.699
0.237 0.765 0.501
0.805 0.691 0.500
0.301 0.197 0.498
0.591 0.354 0.084
0.645 0.410 0.917
0.728 0.275 0.500
0.923 0.090 0.496
0.290 0.744 0.308
0.256 0.710 0.693
0.283 0.952 0.290
0.048 0.716 0.710
0.430 0.570 0.500
0.429 0.671 0.904
0.330 0.571 0.096
0.251 0.212 0.692
0.786 0.747 0.304
0.061 0.208 0.686
0.794 0.935 0.308
0.791 0.443 0.297
0.553 0.213 0.708
0.116 0.287 0.098
0.713 0.884 0.903
0.381 0.980 0.501
0.023 0.613 0.500
0.441 0.116 0.916
0.885 0.557 0.084
0.986 0.246 0.313
0.752 0.017 0.693
0.147 0.992 0.504
0.016 0.855 0.499
0.595 0.808 0.093
0.192 0.404 0.906
0.931 0.166 0.903
0.834 0.070 0.096
0.889 0.468 0.496
0.522 0.113 0.502
0.759 0.504 0.710
0.495 0.243 0.291
0.089 0.852 0.085
0.148 0.912 0.915
0.772 0.981 0.501
0.517 0.734 0.500
0.265 0.482 0.501
0.862 0.307 0.078
0.694 0.139 0.925
0.511 0.988 0.289
0.012 0.489 0.712
0.176 0.162 0.922
0.838 0.823 0.075
0.529 0.472 0.289
0.529 0.471 0.711
0.680 0.655 0.926
0.344 0.321 0.075
0.356 0.803 0.076
0.197 0.643 0.924
0.014 0.488 0.288
0.512 0.987 0.711
0.025 0.975 0.712
0.026 0.973 0.288
0.290 0.962 0.133
0.038 0.710 0.867
0.874 0.056 0.354
0.943 0.127 0.644
0.264 0.749 0.149
0.250 0.737 0.851
0.250 0.000 0.871
0.000 0.750 0.127
0.557 0.956 0.998
0.045 0.442 0.002
0.177 0.905 0.644
0.095 0.823 0.356
0.007 0.223 0.156
0.777 0.993 0.848
0.608 0.548 0.354
0.452 0.393 0.646
0.684 0.642 0.567
0.358 0.315 0.434
0.986 0.014 0.000
0.431 0.913 0.646
0.087 0.568 0.354
0.267 0.220 0.853
0.780 0.732 0.145
0.032 0.236 0.842
0.764 0.968 0.154
0.595 0.835 0.354
0.165 0.405 0.646
0.791 0.463 0.138
0.536 0.209 0.865
0.172 0.151 0.556
0.859 0.813 0.435
0.934 0.413 0.645
0.586 0.067 0.356
0.767 0.250 0.145
0.750 0.234 0.857
0.377 0.553 0.356
0.447 0.624 0.645
0.862 0.558 0.356
0.442 0.138 0.644
0.600 0.321 0.358
0.680 0.400 0.642
0.360 0.057 0.357
0.943 0.640 0.643
0.349 0.824 0.433
0.178 0.650 0.566
0.533 0.742 0.850
0.258 0.467 0.150
0.743 0.499 0.866
0.501 0.257 0.134
0.483 0.518 0.000
0.777 0.706 0.855
0.294 0.222 0.145
0.106 0.047 0.355
0.953 0.894 0.646
0.664 0.904 0.644
0.095 0.336 0.356
0.865 0.310 0.441
0.679 0.149 0.566
0.506 0.722 0.148
0.277 0.494 0.852
```



(2)
VASP calculation (PBE) on a geometry-optimized EuAgAs structure.

Results
SG   P6_3/mmc, No. 194

The structure in POSCAR format:
```
EuAgAs
1.0
-2.280 -3.949 0.000
-2.280 3.949 0.000
0.000 0.000 -8.175
Eu Ag As
2 2 2
Direct
0.000 0.000 0.000
0.000 0.000 0.500
0.333 0.667 0.250
0.667 0.333 0.750
0.667 0.333 0.250
0.333 0.667 0.750
```



(3)
VASP calculation (PBE) on a geometry-optimized AgAsF6 structure.

Results
SG   Fm-3m, No. 225

The structure in POSCAR format:
```
AgAsF6
1.0
-0.945 -5.344 2.504
-5.289 -1.239 2.493
-3.691 -3.912 -2.608
Ag As F
1 1 6
Direct
0.500 0.500 0.500
0.000 0.000 0.000
0.789 0.211 0.211
0.789 0.789 0.211
0.211 0.789 0.211
0.789 0.211 0.789
0.211 0.211 0.789
0.211 0.789 0.789
```



(4)
VASP calculation (PBE) on a geometry-optimized Li2AgAsF6 structure.

Results
Magnetic moment   0.0 μB/f.u.
SG   Fm-3m, No. 225

The structure in POSCAR format:
```
Li2AgAsF6
1.0
6.097 -0.060 1.289
2.385 -4.514 3.575
3.675 -4.357 -2.521
Li Ag As F
2 1 1 6
Direct
0.750 0.750 0.750
0.250 0.250 0.250
0.500 0.500 0.500
0.000 0.000 0.000
0.768 0.232 0.232
0.232 0.232 0.768
0.232 0.768 0.768
0.232 0.768 0.232
0.768 0.232 0.768
0.768 0.768 0.232
```



(5)
VASP calculation (PBE) on a geometry-optimized AgAsS6N4O2F6 structure.

Results
Magnetic moment   0.0 μB/f.u.
SG   Pcca, No. 54

The structure in POSCAR format:
```
AgAsS6N4O2F6
1.0
-8.245 2.384 3.589
2.762 -4.216 9.147
5.754 13.294 4.389
Ag As S N O F
4 4 24 16 8 24
Direct
0.250 0.000 0.588
0.250 0.000 0.088
0.750 0.000 0.412
0.750 0.000 0.912
0.500 0.775 0.250
0.500 0.225 0.750
0.000 0.775 0.750
0.000 0.225 0.250
0.930 0.841 0.125
0.070 0.159 0.875
0.664 0.686 0.931
0.402 0.378 0.358
0.664 0.314 0.431
0.598 0.378 0.142
0.930 0.159 0.625
0.430 0.159 0.375
0.164 0.314 0.569
0.402 0.622 0.858
0.598 0.622 0.642
0.336 0.314 0.069
0.836 0.314 0.931
0.902 0.378 0.642
0.098 0.378 0.858
0.098 0.622 0.358
0.336 0.686 0.569
0.902 0.622 0.142
0.430 0.841 0.875
0.570 0.841 0.625
0.070 0.841 0.375
0.836 0.686 0.431
0.164 0.686 0.069
0.570 0.159 0.125
0.048 0.418 0.591
0.896 0.822 0.395
0.452 0.582 0.591
0.952 0.418 0.909
0.548 0.418 0.409
0.952 0.582 0.409
0.104 0.178 0.605
0.396 0.822 0.605
0.896 0.178 0.895
0.548 0.582 0.909
0.104 0.822 0.105
0.396 0.178 0.105
0.604 0.822 0.895
0.452 0.418 0.091
0.048 0.582 0.091
0.604 0.178 0.395
0.148 0.872 0.457
0.352 0.128 0.457
0.648 0.128 0.043
0.852 0.872 0.043
0.648 0.872 0.543
0.352 0.872 0.957
0.852 0.128 0.543
0.148 0.128 0.957
0.495 0.225 0.867
0.505 0.225 0.633
0.864 0.344 0.252
0.135 0.896 0.748
0.005 0.225 0.367
0.364 0.656 0.248
0.636 0.656 0.252
0.495 0.775 0.367
0.364 0.344 0.748
0.995 0.225 0.133
0.636 0.344 0.752
0.864 0.656 0.752
0.865 0.896 0.752
0.135 0.104 0.248
0.136 0.344 0.248
0.136 0.656 0.748
0.635 0.896 0.252
0.005 0.775 0.867
0.365 0.896 0.248
0.505 0.775 0.133
0.365 0.104 0.748
0.635 0.104 0.752
0.995 0.775 0.633
0.865 0.104 0.252
```



(6)
VASP calculation (PBE) on a geometry-optimized Na2AgAsF6 structure.

Results
Magnetic moment   0.0 μB/f.u.
SG   Fm-3m, No. 225

The structure in POSCAR format:
```
Na2AgAsF6
1.0
5.768 0.387 2.373
2.148 5.475 2.113
0.802 0.884 6.134
Na Ag As F
2 1 1 6
Direct
0.750 0.750 0.750
0.250 0.250 0.250
0.500 0.500 0.500
0.000 0.000 0.000
0.768 0.232 0.232
0.232 0.232 0.768
0.232 0.768 0.768
0.232 0.768 0.232
0.768 0.232 0.768
0.768 0.768 0.232
```



(7)
VASP calculation (PBE) on a geometry-optimized AgAsXe2F10 structure.

Results
Magnetic moment   0.0 μB/f.u.
SG   I4/mcm, No. 140

The structure in POSCAR format:
```
AgAsXe2F10
1.0
-4.392 4.392 6.438
4.392 -4.392 6.438
4.392 4.392 -6.438
Ag As Xe F
2 2 4 20
Direct
0.500 0.000 0.500
0.000 0.500 0.500
0.500 0.500 0.000
0.000 0.000 0.000
0.500 0.500 0.500
0.500 0.000 0.000
0.000 0.000 0.500
0.000 0.500 0.000
0.075 0.813 0.888
0.637 0.637 0.000
0.137 0.137 0.000
0.925 0.187 0.112
0.470 0.970 0.734
0.264 0.530 0.500
0.425 0.313 0.737
0.187 0.075 0.263
0.530 0.030 0.266
0.363 0.363 0.000
0.236 0.736 0.266
0.313 0.575 0.888
0.575 0.687 0.263
0.970 0.236 0.500
0.813 0.925 0.737
0.764 0.264 0.734
0.863 0.863 0.000
0.030 0.764 0.500
0.736 0.470 0.500
0.687 0.425 0.112
```



(8)
VASP calculation (PBE) on a geometry-optimized AgAs3H2O9 structure.

Results
Magnetic moment   0.0 μB/f.u.
SG   P-1, No. 2

The structure in POSCAR format:
```
AgAs3H2O9
1.0
7.338 0.000 0.000
-2.149 7.499 0.000
-2.294 -3.674 6.789
Ag As H O
2 6 4 18
Direct
0.297 0.829 0.042
0.703 0.171 0.958
0.372 0.352 0.166
0.185 0.834 0.457
0.156 0.437 0.476
0.844 0.563 0.524
0.815 0.166 0.543
0.628 0.648 0.834
0.869 0.635 0.078
0.636 0.812 0.391
0.364 0.188 0.609
0.131 0.365 0.922
0.281 0.468 0.032
0.398 0.146 0.039
0.094 0.791 0.223
0.190 0.286 0.261
0.913 0.437 0.320
0.608 0.562 0.354
0.610 0.927 0.377
0.005 0.180 0.449
0.681 0.311 0.495
0.319 0.689 0.505
0.995 0.820 0.551
0.390 0.073 0.623
0.392 0.438 0.646
0.087 0.563 0.680
0.810 0.714 0.739
0.906 0.209 0.777
0.602 0.854 0.961
0.719 0.532 0.968
```



| no. | ΔE_f (eV/atom) |
| --- | --- |
| 1 | -0.30 |
| 2 | -0.79 |
| 3 | -2.20 |
| 4 | -2.10 |
| 5 | -0.92 |
| 6 | -2.24 |
| 7 | -1.61 |
| 8 | -1.42 |